Entry from the Materials Project database: an optimized crystal structure of Ta2O5 (PBE-GGA).

Results
Symmetry: P1, No. 1
Energy of formation in eV per atom: -3.288
Mass density in g cm⁻³: 7.03
E in eV per atom: -9.719

a = 3.869 Å, b = 3.834 Å, c = 21.220 Å
α = 84.83°, β = 92.31°, γ = 89.99°
Fractional coordinates of all 21 atoms:
Ta1 0.908 0.696 0.598
Ta2 0.975 0.049 0.909
Ta3 0.031 0.396 0.222
Ta4 0.958 0.617 0.778
Ta5 0.010 0.958 0.090
Ta6 0.080 0.293 0.402
O1 0.973 0.571 0.884
O2 0.014 0.454 0.116
O3 0.510 0.984 0.092
O4 0.533 0.417 0.219
O5 0.028 0.915 0.196
O6 0.082 0.783 0.423
O7 0.583 0.286 0.418
O8 0.477 0.078 0.908
O9 0.958 0.111 0.804
O10 0.928 0.649 0.688
O11 0.994 0.979 0.000
O12 0.906 0.207 0.577
O13 0.454 0.638 0.781
O14 0.405 0.706 0.582
O15 0.059 0.339 0.313

---

Entry from the Materials Project database: an optimized crystal structure of Ta2O7 (PBE-GGA).

Results
Symmetry: Fd-3m, No. 227
Energy of formation in eV per atom: -2.106
Mass density in g cm⁻³: 5.18
E in eV per atom: -8.055

a = 7.546 Å, b = 7.546 Å, c = 7.546 Å
α = 60.00°, β = 60.00°, γ = 60.00°
Fractional coordinates of all 18 atoms:
O1 0.684 0.684 0.316
O2 0.566 0.566 0.934
O3 0.934 0.934 0.566
O4 0.316 0.684 0.316
O5 0.000 0.000 0.000
O6 0.684 0.316 0.316
O7 0.566 0.934 0.934
O8 0.250 0.250 0.250
O9 0.316 0.684 0.684
O10 0.316 0.316 0.684
O11 0.934 0.566 0.566
O12 0.566 0.934 0.566
O13 0.684 0.316 0.684
O14 0.934 0.566 0.934
Ta1 0.125 0.625 0.625
Ta2 0.625 0.625 0.125
Ta3 0.625 0.125 0.625
Ta4 0.625 0.625 0.625

---

Entry from the Materials Project database: an optimized crystal structure of Ta2O5 (PBE-GGA).

Results
Symmetry: Pmmn, No. 59
Energy of formation in eV per atom: -3.336
Mass density in g cm⁻³: 7.40
E in eV per atom: -9.767

a = 3.871 Å, b = 3.904 Å, c = 13.128 Å
α = 90.00°, β = 90.00°, γ = 90.00°
Fractional coordinates of all 14 atoms:
Ta1 0.519 0.023 0.354
Ta2 0.019 0.977 0.854
Ta3 0.019 0.977 0.146
Ta4 0.519 0.023 0.646
O1 0.519 0.998 0.815
O2 0.519 0.507 0.352
O3 0.019 0.002 0.685
O4 0.519 0.507 0.648
O5 0.019 0.002 0.315
O6 0.519 0.005 0.500
O7 0.019 0.995 0.000
O8 0.519 0.998 0.185
O9 0.019 0.493 0.852
O10 0.019 0.493 0.148

---

Entry from the Materials Project database: an optimized crystal structure of Ta2O (PBE-GGA).

Results
Symmetry: I-43m, No. 217
Energy of formation in eV per atom: 0.219
Mass density in g cm⁻³: 11.78
E in eV per atom: -9.107

a = 6.517 Å, b = 6.517 Å, c = 6.517 Å
α = 109.47°, β = 109.47°, γ = 109.47°
Fractional coordinates of all 12 atoms:
Ta1 0.000 0.571 0.000
Ta2 0.429 0.429 0.429
Ta3 0.000 0.500 0.500
Ta4 0.500 0.000 0.500
Ta5 0.000 0.000 0.571
Ta6 0.500 0.500 0.000
Ta7 0.000 0.000 0.000
Ta8 0.571 0.000 0.000
O1 0.711 0.711 0.711
O2 0.289 0.000 0.000
O3 0.000 0.000 0.289
O4 0.000 0.289 0.000

---

Entry from the Materials Project database: an optimized crystal structure of Ta2O5 (PBE-GGA).

Results
Symmetry: C2/m, No. 12
Energy of formation in eV per atom: -3.176
Mass density in g cm⁻³: 7.99
E in eV per atom: -9.607

a = 18.241 Å, b = 18.241 Å, c = 3.831 Å
α = 87.95°, β = 87.95°, γ = 12.49°
Fractional coordinates of all 21 atoms:
Ta1 0.051 0.051 0.097
Ta2 0.949 0.949 0.903
Ta3 0.295 0.295 0.472
Ta4 0.705 0.705 0.528
Ta5 0.872 0.872 0.420
Ta6 0.128 0.128 0.580
O1 0.068 0.068 0.602
O2 0.634 0.634 0.577
O3 0.113 0.113 0.085
O4 0.000 0.000 0.000
O5 0.449 0.449 0.867
O6 0.695 0.695 0.034
O7 0.500 0.000 0.500
O8 0.819 0.819 0.455
O9 0.000 0.500 0.500
O10 0.932 0.932 0.398
O11 0.887 0.887 0.915
O12 0.181 0.181 0.545
O13 0.366 0.366 0.423
O14 0.551 0.551 0.133
O15 0.305 0.305 0.966

---

Entry from the Materials Project database: an optimized crystal structure of Ta2O5 (PBE-GGA).

Results
Symmetry: I4/mmm, No. 139
Energy of formation in eV per atom: -3.225
Mass density in g cm⁻³: 5.44
E in eV per atom: -9.657

a = 6.086 Å, b = 6.086 Å, c = 6.086 Å
α = 128.34°, β = 128.34°, γ = 76.07°
Fractional coordinates of all 7 atoms:
Ta1 0.198 0.198 0.000
Ta2 0.802 0.802 0.000
O1 0.500 0.000 0.000
O2 0.000 0.000 0.000
O3 0.000 0.000 0.500
O4 0.000 0.500 0.000
O5 0.500 0.500 0.500

---

Entry from the Materials Project database: an optimized crystal structure of Ta2O5 (PBE-GGA).

Results
Symmetry: Pmmn, No. 59
Energy of formation in eV per atom: -3.334
Mass density in g cm⁻³: 7.37
E in eV per atom: -9.766

a = 3.884 Å, b = 3.929 Å, c = 13.045 Å
α = 90.00°, β = 90.00°, γ = 90.00°
Fractional coordinates of all 14 atoms:
Ta1 0.000 0.043 0.147
Ta2 0.500 0.957 0.353
Ta3 0.000 0.043 0.853
Ta4 0.500 0.957 0.647
O1 0.500 0.483 0.352
O2 0.500 0.008 0.816
O3 0.000 0.013 0.000
O4 0.500 0.008 0.184
O5 0.500 0.483 0.648
O6 0.000 0.992 0.316
O7 0.000 0.992 0.684
O8 0.000 0.517 0.852
O9 0.500 0.987 0.500
O10 0.000 0.517 0.148

---

Entry from the Materials Project database: an optimized crystal structure of Ta2O3 (PBE-GGA).

Results
Symmetry: C2/m, No. 12
Energy of formation in eV per atom: -2.599
Mass density in g cm⁻³: 11.58
E in eV per atom: -9.898

a = 6.127 Å, b = 6.127 Å, c = 7.596 Å
α = 66.85°, β = 66.85°, γ = 26.78°
Fractional coordinates of all 10 atoms:
O1 0.187 0.187 0.846
O2 0.527 0.527 0.208
O3 0.862 0.862 0.555
O4 0.473 0.473 0.792
O5 0.813 0.813 0.154
O6 0.138 0.138 0.445
Ta1 0.340 0.340 0.357
Ta2 0.660 0.660 0.643
Ta3 0.836 0.836 0.845
Ta4 0.164 0.164 0.155